The following is a PBE calculation of a relaxed CoB3Mo3 crystal, from Materials Project.

* crystal system: orthorhombic
* uncorrected energy: -126.33 eV per cell

Lattice parameters (Å, degrees): 3.1627 4.5284 10.7906 90.00 90.00 110.44
Last column: nearest neighbours and their distance in Å.
Atoms (fractional coordinates):
Co 0.5000 0.0000 0.5000  4 B 2.07
Co 0.5000 0.0000 0.0000  4 B 2.07
B 0.9134 0.8269 0.3970  1 B 1.89, 2 Co 2.07
B 0.0866 0.1731 0.6030  1 B 1.89, 2 Co 2.07
B 0.9134 0.8269 0.1030  1 B 1.89, 2 Co 2.07
B 0.0866 0.1731 0.8970  1 B 1.89, 2 Co 2.07
B 0.7914 0.5829 0.2500  2 B 1.89
B 0.2086 0.4171 0.7500  2 B 1.89
Mo 0.2121 0.4242 0.3928  6 B 2.31-2.53
Mo 0.7879 0.5758 0.6072  6 B 2.31-2.53
Mo 0.2121 0.4242 0.1072  6 B 2.31-2.53
Mo 0.7879 0.5758 0.8928  6 B 2.31-2.53
Mo 0.4971 0.9943 0.2500  7 B 2.35-2.50
Mo 0.5029 0.0057 0.7500  7 B 2.35-2.50


The following is a PBE calculation of a relaxed Co27Se32 crystal, from Materials Project.

* crystal system: triclinic
* MP2020-corrected energy: -5.635 eV per atom
* spin magnetization: 10.3 μB per formula unit

Lattice parameters (Å, degrees): 10.3399 10.7342 10.7705 83.50 118.61 118.10
Last column: nearest neighbours and their distance in Å.
Atoms (fractional coordinates):
Co 0.4803 0.3677 0.1204  6 Se 2.35-2.55
Co 0.9793 0.6175 0.8701  6 Se 2.34-2.51
Co 0.5008 0.2458 0.7545  6 Se 2.38-2.49, 2 Co 2.58-2.59
Co 0.7499 0.8750 0.6244  6 Se 2.43-2.45
Co 0.2500 0.5146 0.4850  6 Se 2.34-2.59, 2 Co 2.59-2.60
Co 0.4778 0.8656 0.6177  6 Se 2.33-2.59
Co 0.0000 0.5000 0.5000  6 Se 2.40-2.46, 2 Co 2.60
Co 0.9993 0.7494 0.2497  6 Se 2.39-2.47, 2 Co 2.60-2.61
Co 0.2501 0.1250 0.3756  6 Se 2.43-2.45
Co 0.7526 0.7698 0.2392  5 Se 2.33-2.55, 1 Co 2.58
Co 0.9753 0.1135 0.3665  5 Se 2.31-2.43
Co 0.7446 0.9900 0.0131  5 Se 2.31-2.48
Co 0.4992 0.7542 0.2455  6 Se 2.38-2.49, 2 Co 2.58-2.59
Co 0.7457 0.3682 0.1231  6 Se 2.42-2.47
Co 0.2554 0.0100 0.9869  5 Se 2.31-2.48
Co 0.2474 0.2302 0.7608  5 Se 2.33-2.55, 1 Co 2.58
Co 0.0000 0.0000 0.0000  6 Se 2.40-2.45, 2 Co 2.66
Co 0.0007 0.2506 0.7503  6 Se 2.39-2.47, 2 Co 2.60-2.61
Co 0.2543 0.6318 0.8769  6 Se 2.42-2.47
Co 0.7534 0.2677 0.7393  6 Se 2.33-2.59, 2 Co 2.59-2.60
Co 0.5222 0.1344 0.3823  6 Se 2.33-2.59
Co 0.7500 0.4854 0.5150  6 Se 2.34-2.59, 2 Co 2.59-2.60
Co 0.5000 0.5000 0.5000  6 Se 2.39-2.47, 2 Co 2.59
Co 0.0207 0.3825 0.1299  6 Se 2.34-2.51
Co 0.2466 0.7323 0.2607  6 Se 2.33-2.59, 2 Co 2.59-2.60
Co 0.5197 0.6323 0.8796  6 Se 2.35-2.55
Co 0.0247 0.8865 0.6335  5 Se 2.31-2.43
Se 0.0400 0.4216 0.9135  5 Co 2.40-2.47
Se 0.6993 0.4596 0.7101  5 Co 2.33-2.44
Se 0.5360 0.6691 0.6626  5 Co 2.39-2.45
Se 0.5350 0.9130 0.4186  5 Co 2.42-2.45
Se 0.1990 0.7091 0.4592  5 Co 2.33-2.40
Se 0.2116 0.9591 0.2095  6 Co 2.43-2.60
Se 0.7876 0.5393 0.2903  6 Co 2.45-2.63
Se 0.0381 0.9196 0.4142  5 Co 2.39-2.45
Se 0.0354 0.1623 0.1692  5 Co 2.42-2.44
Se 0.4662 0.5894 0.0800  5 Co 2.42-2.45
Se 0.6981 0.9618 0.2060  4 Co 2.31-2.38
Se 0.7215 0.2116 0.9589  5 Co 2.42-2.51
Se 0.2785 0.7884 0.0411  5 Co 2.42-2.51
Se 0.5332 0.1686 0.1633  4 Co 2.38-2.42
Se 0.3019 0.0382 0.7940  4 Co 2.31-2.38
Se 0.5338 0.4106 0.9200  5 Co 2.42-2.45
Se 0.9646 0.8377 0.8308  5 Co 2.42-2.44
Se 0.2011 0.2073 0.9597  5 Co 2.35-2.41
Se 0.9619 0.0804 0.5858  5 Co 2.39-2.45
Se 0.2124 0.4607 0.7097  6 Co 2.45-2.63
Se 0.7884 0.0409 0.7905  6 Co 2.43-2.60
Se 0.8010 0.2909 0.5408  5 Co 2.33-2.40
Se 0.0355 0.6636 0.6700  5 Co 2.42-2.46
Se 0.4650 0.0870 0.5814  5 Co 2.42-2.45
Se 0.4640 0.3309 0.3374  5 Co 2.39-2.45
Se 0.7108 0.7091 0.4578  6 Co 2.43-2.62
Se 0.2892 0.2909 0.5422  6 Co 2.43-2.62
Se 0.3007 0.5404 0.2899  5 Co 2.33-2.44
Se 0.9645 0.3364 0.3300  5 Co 2.42-2.46
Se 0.9600 0.5784 0.0865  5 Co 2.40-2.47
Se 0.7989 0.7927 0.0403  5 Co 2.35-2.41
Se 0.4668 0.8314 0.8367  4 Co 2.38-2.42


The following is a PBE calculation of a relaxed Tb2Pb2O7 crystal, from Materials Project.

* crystal system: cubic
* distance to the lowest polymorph of the same formula: 0.000 kcal/mol of atoms
* MP2020-corrected energy: -7.218 eV per atom

Lattice parameters (Å, degrees): 7.6372 7.6372 7.6372 60.00 60.00 60.00
Last column: nearest neighbours and their distance in Å.
Atoms (fractional coordinates):
Tb 0.1250 0.6250 0.1250  8 O 2.34-2.51
Tb 0.1250 0.1250 0.6250  8 O 2.34-2.51
Tb 0.6250 0.1250 0.1250  8 O 2.34-2.51
Tb 0.1250 0.1250 0.1250  8 O 2.34-2.51
Pb 0.6250 0.6250 0.6250  6 O 2.19
Pb 0.1250 0.6250 0.6250  6 O 2.19
Pb 0.6250 0.1250 0.6250  6 O 2.19
Pb 0.6250 0.6250 0.1250  6 O 2.19
O 0.2755 0.7245 0.7245  2 Pb 2.19
O 0.5255 0.9745 0.9745  2 Pb 2.19
O 0.7245 0.2755 0.7245  2 Pb 2.19
O 0.7245 0.7245 0.2755  2 Pb 2.19
O 0.0000 0.0000 0.0000  4 Tb 2.34
O 0.2755 0.7245 0.2755  2 Pb 2.19
O 0.2755 0.2755 0.7245  2 Pb 2.19
O 0.9745 0.5255 0.9745  2 Pb 2.19
O 0.9745 0.9745 0.5255  2 Pb 2.19
O 0.2500 0.2500 0.2500  4 Tb 2.34
O 0.5255 0.5255 0.9745  2 Pb 2.19
O 0.5255 0.9745 0.5255  2 Pb 2.19
O 0.7245 0.2755 0.2755  2 Pb 2.19
O 0.9745 0.5255 0.5255  2 Pb 2.19


The following is a PBE calculation of a relaxed Zn13Rh crystal, from Materials Project.

* crystal system: monoclinic
* uncorrected energy: -25.56 eV per cell

Lattice parameters (Å, degrees): 6.6782 6.6782 5.1524 80.40 80.40 69.41
Last column: nearest neighbours and their distance in Å.
Atoms (fractional coordinates):
Zn 0.0000 0.0000 0.0000  2 Rh 2.58, 10 Zn 2.77-2.86
Zn 0.6184 0.2215 0.3207  8 Zn 2.60-2.86, 1 Rh 2.69
Zn 0.7785 0.3816 0.6793  8 Zn 2.60-2.86, 1 Rh 2.69
Zn 0.3816 0.7785 0.6793  8 Zn 2.60-2.86, 1 Rh 2.69
Zn 0.2215 0.6184 0.3207  8 Zn 2.60-2.86, 1 Rh 2.69
Zn 0.3614 0.9973 0.1978  7 Zn 2.52-2.79, 1 Rh 2.64
Zn 0.0027 0.6386 0.8022  7 Zn 2.52-2.79, 1 Rh 2.64
Zn 0.6386 0.0027 0.8022  7 Zn 2.52-2.79, 1 Rh 2.64
Zn 0.9973 0.3614 0.1978  7 Zn 2.52-2.79, 1 Rh 2.64
Zn 0.7761 0.7761 0.3694  10 Zn 2.59-2.85, 1 Rh 2.68
Zn 0.2239 0.2239 0.6306  10 Zn 2.59-2.85, 1 Rh 2.68
Zn 0.6125 0.6125 0.0713  10 Zn 2.59-2.79
Zn 0.3875 0.3875 0.9287  10 Zn 2.59-2.79
Rh 0.0000 0.0000 0.5000  12 Zn 2.58-2.69


The following is a PBE calculation of a relaxed ErNi3Ge2 crystal, from Materials Project.

* crystal system: hexagonal
* uncorrected energy: -418.23 eV per cell
* spin magnetization: 0.0 μB per formula unit

Lattice parameters (Å, degrees): 17.9968 17.9968 3.7959 90.00 90.00 120.00
Last column: nearest neighbours and their distance in Å.
Atoms (fractional coordinates):
Er 0.5000 0.0000 0.0000  6 Ge 2.94-3.00, 6 Ni 2.98-3.14
Er 0.0000 0.5000 0.0000  6 Ge 2.94-3.00, 6 Ni 2.98-3.14
Er 0.2345 0.3269 0.0000  6 Ge 2.90-3.03, 6 Ni 3.06-3.25
Er 0.3269 0.0924 0.0000  6 Ge 2.90-3.03, 6 Ni 3.06-3.25
Er 0.5000 0.5000 0.0000  6 Ge 2.94-3.00, 6 Ni 2.98-3.14
Er 0.3333 0.6667 0.5000  6 Ge 2.97, 9 Ni 3.07-3.25
Er 0.6731 0.9076 0.0000  6 Ge 2.90-3.03, 6 Ni 3.06-3.25
Er 0.9076 0.2345 0.0000  6 Ge 2.90-3.03, 6 Ni 3.06-3.25
Er 0.0924 0.7655 0.0000  6 Ge 2.90-3.03, 6 Ni 3.06-3.25
Er 0.7655 0.6731 0.0000  6 Ge 2.90-3.03, 6 Ni 3.06-3.25
Er 0.0000 0.0000 0.0000  6 Ge 3.09, 12 Ni 3.20
Er 0.6667 0.3333 0.5000  6 Ge 2.97, 9 Ni 3.07-3.25
Ni 0.8395 0.9524 0.5000  4 Ge 2.44-2.46, 4 Ni 2.57-2.62
Ni 0.6114 0.7012 0.0000  4 Ge 2.37-2.47, 3 Ni 2.55-2.64
Ni 0.4879 0.7321 0.0000  4 Ge 2.32-2.39, 1 Ni 2.55
Ni 0.7232 0.7900 0.5000  4 Ge 2.37-2.49, 4 Ni 2.61-2.64
Ni 0.5134 0.3792 0.5000  4 Ge 2.34-2.45, 1 Ni 2.57
Ni 0.1605 0.0476 0.5000  4 Ge 2.44-2.46, 4 Ni 2.57-2.62
Ni 0.0668 0.2768 0.5000  4 Ge 2.37-2.49, 4 Ni 2.61-2.64
Ni 0.5182 0.8584 0.5000  4 Ge 2.38-2.44, 1 Ni 2.57
Ni 0.7012 0.0898 0.0000  4 Ge 2.37-2.47, 3 Ni 2.55-2.64
Ni 0.3886 0.2988 0.0000  4 Ge 2.37-2.47, 3 Ni 2.55-2.64
Ni 0.7900 0.0668 0.5000  4 Ge 2.37-2.49, 4 Ni 2.61-2.64
Ni 0.2442 0.5121 0.0000  4 Ge 2.32-2.39, 1 Ni 2.55
Ni 0.7558 0.4879 0.0000  4 Ge 2.32-2.39, 1 Ni 2.55
Ni 0.3402 0.4818 0.5000  4 Ge 2.38-2.44, 1 Ni 2.57
Ni 0.2100 0.9332 0.5000  4 Ge 2.37-2.49, 4 Ni 2.61-2.64
Ni 0.4818 0.1416 0.5000  4 Ge 2.38-2.44, 1 Ni 2.57
Ni 0.6208 0.1342 0.5000  4 Ge 2.34-2.45, 1 Ni 2.57
Ni 0.2679 0.7558 0.0000  4 Ge 2.32-2.39, 1 Ni 2.55
Ni 0.7321 0.2442 0.0000  4 Ge 2.32-2.39, 1 Ni 2.55
Ni 0.2988 0.9102 0.0000  4 Ge 2.37-2.47, 3 Ni 2.55-2.64
Ni 0.2768 0.2100 0.5000  4 Ge 2.37-2.49, 4 Ni 2.61-2.64
Ni 0.9524 0.1129 0.5000  4 Ge 2.44-2.46, 4 Ni 2.57-2.62
Ni 0.9332 0.7232 0.5000  4 Ge 2.37-2.49, 4 Ni 2.61-2.64
Ni 0.6598 0.5182 0.5000  4 Ge 2.38-2.44, 1 Ni 2.57
Ni 0.8658 0.4866 0.5000  4 Ge 2.34-2.45, 1 Ni 2.57
Ni 0.1129 0.1605 0.5000  4 Ge 2.44-2.46, 4 Ni 2.57-2.62
Ni 0.9102 0.6114 0.0000  4 Ge 2.37-2.47, 3 Ni 2.55-2.64
Ni 0.5121 0.2679 0.0000  4 Ge 2.32-2.39, 1 Ni 2.55
Ni 0.8584 0.3402 0.5000  4 Ge 2.38-2.44, 1 Ni 2.57
Ni 0.3792 0.8658 0.5000  4 Ge 2.34-2.45, 1 Ni 2.57
Ni 0.1342 0.5134 0.5000  4 Ge 2.34-2.45, 1 Ni 2.57
Ni 0.1416 0.6598 0.5000  4 Ge 2.38-2.44, 1 Ni 2.57
Ni 0.8871 0.8395 0.5000  4 Ge 2.44-2.46, 4 Ni 2.57-2.62
Ni 0.4866 0.6208 0.5000  4 Ge 2.34-2.45, 1 Ni 2.57
Ni 0.0476 0.8871 0.5000  4 Ge 2.44-2.46, 4 Ni 2.57-2.62
Ni 0.0898 0.3886 0.0000  4 Ge 2.37-2.47, 3 Ni 2.55-2.64
Ge 0.8115 0.5806 0.5000  7 Ni 2.34-2.47
Ge 0.6312 0.0037 0.5000  5 Ni 2.37-2.49
Ge 0.8567 0.0468 0.0000  6 Ni 2.37-2.46
Ge 0.4194 0.8122 0.0000  6 Ni 2.32-2.44
Ge 0.1433 0.9532 0.0000  6 Ni 2.37-2.46
Ge 0.5806 0.7691 0.5000  7 Ni 2.34-2.47
Ge 0.7691 0.1885 0.5000  7 Ni 2.34-2.47
Ge 0.9532 0.8098 0.0000  6 Ni 2.37-2.46
Ge 0.3927 0.5806 0.0000  6 Ni 2.32-2.44
Ge 0.8122 0.3927 0.0000  6 Ni 2.32-2.44
Ge 0.1902 0.1433 0.0000  6 Ni 2.37-2.46
Ge 0.9963 0.6276 0.5000  5 Ni 2.37-2.49
Ge 0.3688 0.9963 0.5000  5 Ni 2.37-2.49
Ge 0.0468 0.1902 0.0000  6 Ni 2.37-2.46
Ge 0.2309 0.8115 0.5000  7 Ni 2.34-2.47
Ge 0.1878 0.6073 0.0000  6 Ni 2.32-2.44
Ge 0.3724 0.3688 0.5000  5 Ni 2.37-2.49
Ge 0.4194 0.2309 0.5000  7 Ni 2.34-2.47
Ge 0.6276 0.6312 0.5000  5 Ni 2.37-2.49
Ge 0.8098 0.8567 0.0000  6 Ni 2.37-2.46
Ge 0.1885 0.4194 0.5000  7 Ni 2.34-2.47
Ge 0.0037 0.3724 0.5000  5 Ni 2.37-2.49
Ge 0.6073 0.4194 0.0000  6 Ni 2.32-2.44
Ge 0.5806 0.1878 0.0000  6 Ni 2.32-2.44


The following is a PBE calculation of a relaxed RbSO3F crystal, from Materials Project.

* crystal system: orthorhombic
* MP2020-corrected energy: -5.909 eV per atom
* spin magnetization: 0.0 μB per formula unit

Lattice parameters (Å, degrees): 6.2319 7.7449 9.0664 90.00 90.00 90.00
Last column: nearest neighbours and their distance in Å.
Atoms (fractional coordinates):
Rb 0.2500 0.3420 0.8250  7 O 3.01-3.17, 1 F 3.11
Rb 0.2500 0.1580 0.3250  7 O 3.01-3.17, 1 F 3.11
Rb 0.7500 0.6580 0.1750  7 O 3.01-3.17, 1 F 3.11
Rb 0.7500 0.8420 0.6750  7 O 3.01-3.17, 1 F 3.11
S 0.2500 0.8020 0.9390  3 O 1.45-1.46
S 0.2500 0.6980 0.4390  3 O 1.45-1.46
S 0.7500 0.1980 0.0610  3 O 1.45-1.46
S 0.7500 0.3020 0.5610  3 O 1.45-1.46
O 0.0532 0.7055 0.9119  1 S 1.46
O 0.4468 0.7945 0.4119  1 S 1.46
O 0.5532 0.2945 0.0881  1 S 1.46
O 0.9468 0.2055 0.5881  1 S 1.46
O 0.9468 0.2945 0.0881  1 S 1.46
O 0.5532 0.2055 0.5881  1 S 1.46
O 0.4468 0.7055 0.9119  1 S 1.46
O 0.0532 0.7945 0.4119  1 S 1.46
O 0.2500 0.9126 0.0673  1 S 1.45
O 0.2500 0.5874 0.5673  1 S 1.45
O 0.7500 0.0874 0.9327  1 S 1.45
O 0.7500 0.4126 0.4327  1 S 1.45
F 0.2500 0.9420 0.8003  1 S 1.66
F 0.2500 0.5580 0.3003  1 S 1.66
F 0.7500 0.0580 0.1997  1 S 1.66
F 0.7500 0.4420 0.6997  1 S 1.66